(1)
A relaxed structure of Sc2TlAg, computed with meta-GGA r2SCAN.

```
data_Sc2TlAg
_space_group_name_H-M_alt 'I 4/m m m'
_space_group_IT_number 139
_space_group_name_Hall '-I 4 2'
_cell_length_a 4.9645
_cell_length_b 4.9645
_cell_length_c 6.9836
_cell_angle_alpha 90.00
_cell_angle_beta 90.00
_cell_angle_gamma 90.00
loop_
_atom_site_label
_atom_site_fract_x
_atom_site_fract_y
_atom_site_fract_z
Sc1 0.0000 0.5000 0.2500
Tl1 0.0000 0.0000 0.0000
Ag1 0.0000 0.0000 0.5000
```

Values from the calculation:
density: 7.76 Mg/m³
total magnetization: 0.0 μB/cell
energy of formation: -0.338 eV/atom

=====

(2)
A relaxed structure of Ag2SnSe3, computed with meta-GGA r2SCAN.

```
data_Ag2SnSe3
_space_group_name_H-M_alt 'C 1 c 1'
_space_group_IT_number 9
_cell_length_a 7.4589
_cell_length_b 12.7890
_cell_length_c 28.1200
_cell_angle_alpha 90.00
_cell_angle_beta 95.82
_cell_angle_gamma 90.00
loop_
_space_group_symop_operation_xyz
'x,y,z'
'x,-y,z+1/2'
'x+1/2,y+1/2,z'
'x+1/2,-y+1/2,z+1/2'
loop_
_atom_site_label
_atom_site_fract_x
_atom_site_fract_y
_atom_site_fract_z
Ag1 0.0000 0.0736 0.0000
Ag2 0.0092 0.2484 0.5043
Ag3 0.1153 0.2445 0.8806
Ag4 0.1154 0.4142 0.3754
Ag5 0.2322 0.0975 0.7499
Ag6 0.2543 0.4211 0.7547
Ag7 0.3591 0.2449 0.6270
Ag8 0.3725 0.0828 0.1276
Sn1 0.1140 0.0909 0.3819
Sn2 0.2525 0.2575 0.2576
Sn3 0.3608 0.4235 0.1327
Sn4 0.4776 0.0837 0.5080
Se1 0.0787 0.4145 0.2817
Se2 0.0824 0.2574 0.7867
Se3 0.1032 0.0840 0.2873
Se4 0.1956 0.0795 0.6573
Se5 0.2097 0.2508 0.1624
Se6 0.2136 0.4136 0.6607
Se7 0.3261 0.4135 0.0379
Se8 0.3403 0.0845 0.0337
Se9 0.3519 0.2551 0.5339
Se10 0.4597 0.4270 0.4067
Se11 0.4614 0.0837 0.4131
Se12 0.4611 0.2485 0.9104
```

Values from the calculation:
density: 5.69 Mg/m³
total magnetization: 0.0 μB/cell
energy of formation: -0.286 eV/atom

=====

(3)
A relaxed structure of Ag8SnSe6, computed with meta-GGA r2SCAN.

```
data_Ag8SnSe6
_space_group_name_H-M_alt 'P m n 21'
_space_group_IT_number 31
_cell_length_a 8.0548
_cell_length_b 7.8356
_cell_length_c 11.0673
_cell_angle_alpha 90.00
_cell_angle_beta 90.00
_cell_angle_gamma 90.00
loop_
_space_group_symop_operation_xyz
'x,y,z'
'-x+1/2,-y,z+1/2'
'-x,y,z'
'x+1/2,-y,z+1/2'
loop_
_atom_site_label
_atom_site_fract_x
_atom_site_fract_y
_atom_site_fract_z
Ag1 0.0000 0.1228 0.0000
Ag2 0.0000 0.2007 0.5737
Ag3 0.1908 0.0288 0.7774
Ag4 0.2129 0.6153 0.1733
Ag5 0.2249 0.6691 0.9030
Sn1 0.0000 0.7469 0.5222
Se1 0.0000 0.0058 0.3857
Se2 0.0000 0.3104 0.7957
Se3 0.0000 0.5026 0.3718
Se4 0.0000 0.7908 0.0392
Se5 0.2410 0.2560 0.1494
```

Values from the calculation:
density: 6.92 Mg/m³
total magnetization: 0.0 μB/cell
energy of formation: -0.211 eV/atom

=====

> Among the records above, which one has the lowest energy of formation?

Sc2TlAg

=====

> Which value of density does entry 1 give?

7.76 Mg/m³

=====

> Among the records above, which one has the lowest density?

Ag2SnSe3